# 1
VASP calculation (PBE-GGA) on a geometry-optimized Sr2LiLaTaO6 structure. Values from VASP.

Geometry as Quantum ESPRESSO input:
```
&SYSTEM
  ibrav = 0, nat = 11, ntyp = 5
/
ATOMIC_SPECIES
Sr 87.62 Sr.upf
Li 6.94 Li.upf
La 138.91 La.upf
Ta 180.95 Ta.upf
O 16.00 O.upf
ATOMIC_POSITIONS crystal
Sr 0.7175 0.7175 0.8468
Sr 0.1914 0.1914 0.4296
Li 0.3658 0.3658 0.9016
La 0.5168 0.5168 0.4492
Ta 0.0030 0.0030 0.9895
O 0.7800 0.7800 0.1742
O 0.2418 0.2418 0.7529
O 0.7630 0.2419 0.7523
O 0.2644 0.7789 0.1737
O 0.2419 0.7630 0.7523
O 0.7789 0.2644 0.1737
CELL_PARAMETERS angstrom
-4.1704 -4.1726 -0.0102
-4.1704 -0.0102 -4.1726
0.5526 -4.7353 -4.7353
```

## Properties
**Excess energy over the best structure of this formula in the dataset**: 98 meV per atom
**Corrected total energy (MP2020 scheme)**: -7.69 eV per atom
**Symmetry**: Cm, No. 8
**Formation energy**: -2.9862 eV/atom

---

# 2
VASP calculation (PBE-GGA) on a geometry-optimized Sr2LiLaTaO6 structure. Values from VASP.

Geometry as Quantum ESPRESSO input:
```
&SYSTEM
  ibrav = 0, nat = 11, ntyp = 5
/
ATOMIC_SPECIES
Sr 87.62 Sr.upf
Li 6.94 Li.upf
La 138.91 La.upf
Ta 180.95 Ta.upf
O 16.00 O.upf
ATOMIC_POSITIONS crystal
Sr 0.8159 0.6841 0.8159
Sr 0.1841 0.3159 0.1841
Li 0.5000 0.0000 0.5000
La 0.5000 0.5000 0.5000
Ta 0.0000 0.0000 0.0000
O 0.7716 0.7641 0.2284
O 0.2284 0.2359 0.7716
O 0.7756 0.2244 0.7756
O 0.2244 0.7756 0.2244
O 0.2284 0.7641 0.7716
O 0.7716 0.2359 0.2284
CELL_PARAMETERS angstrom
3.6106 -0.4128 5.1466
5.9541 -1.0083 -0.6713
4.0443 4.6073 1.4529
```

## Properties
**Excess energy over the best structure of this formula in the dataset**: 142 meV per atom
**Corrected total energy (MP2020 scheme)**: -7.65 eV per atom
**Symmetry**: Immm, No. 71
**Formation energy**: -2.9422 eV/atom

---

# 3
VASP calculation (PBE-GGA) on a geometry-optimized Sr2LiLaTi4O12 structure. Values from VASP.

Geometry as Quantum ESPRESSO input:
```
&SYSTEM
  ibrav = 0, nat = 20, ntyp = 5
/
ATOMIC_SPECIES
Sr 87.62 Sr.upf
Li 6.94 Li.upf
La 138.91 La.upf
Ti 47.87 Ti.upf
O 16.00 O.upf
ATOMIC_POSITIONS crystal
Sr 0.2483 0.2483 0.0000
Sr 0.7517 0.7517 0.0000
Li 0.0000 0.0000 0.0000
La 0.5000 0.5000 0.0000
Ti 0.8763 0.3763 0.5000
Ti 0.1237 0.6237 0.5000
Ti 0.3763 0.8763 0.5000
Ti 0.6237 0.1237 0.5000
O 0.6202 0.1330 0.0000
O 0.8670 0.3798 0.0000
O 0.1330 0.6202 0.0000
O 0.3798 0.8670 0.0000
O 0.7500 0.2500 0.5000
O 0.0000 0.5000 0.5000
O 0.2500 0.7500 0.5000
O 0.5000 0.0000 0.5000
O 0.6202 0.6202 0.4873
O 0.8670 0.8670 0.4873
O 0.1330 0.1330 0.5127
O 0.3798 0.3798 0.5127
CELL_PARAMETERS angstrom
-2.5848 0.8430 8.3400
-7.1681 -3.4841 3.6644
6.9252 -1.8858 -5.0432
```

## Properties
**Corrected total energy (MP2020 scheme)**: -8.53 eV per atom
**Symmetry**: I4/mmm, No. 139
**Formation energy**: -3.4707 eV/atom

---

# 4
VASP calculation (PBE-GGA) on a geometry-optimized Li5La3Ta2O12 structure. Values from VASP.

Geometry as Quantum ESPRESSO input:
```
&SYSTEM
  ibrav = 0, nat = 88, ntyp = 4
/
ATOMIC_SPECIES
Li 6.94 Li.upf
La 138.91 La.upf
Ta 180.95 Ta.upf
O 16.00 O.upf
ATOMIC_POSITIONS crystal
Li 0.6250 0.7500 0.3750
Li 0.8750 0.2500 0.1250
Li 0.2500 0.6250 0.3750
Li 0.1250 0.7500 0.8750
Li 0.2500 0.1250 0.8750
Li 0.8750 0.1250 0.7500
Li 0.2500 0.2500 0.2500
Li 0.0000 0.7500 0.5000
Li 0.7500 0.8750 0.1250
Li 0.5000 0.0000 0.2500
Li 0.0000 0.2500 0.5000
Li 0.3750 0.6250 0.7500
Li 0.5000 0.0000 0.7500
Li 0.6250 0.3750 0.2500
Li 0.3750 0.2500 0.6250
Li 0.7500 0.3750 0.6250
Li 0.1250 0.8750 0.2500
Li 0.2500 0.5000 0.0000
Li 0.7500 0.5000 0.0000
Li 0.7500 0.7500 0.7500
La 0.6250 0.8750 0.7500
La 0.3750 0.1250 0.2500
La 0.2500 0.8750 0.6250
La 0.7500 0.1250 0.3750
La 0.3750 0.7500 0.1250
La 0.8750 0.6250 0.2500
La 0.8750 0.7500 0.6250
La 0.6250 0.2500 0.8750
La 0.2500 0.3750 0.1250
La 0.7500 0.6250 0.8750
La 0.1250 0.3750 0.7500
La 0.1250 0.2500 0.3750
Ta 0.5000 0.5000 0.5000
Ta 0.5000 0.5000 0.0000
Ta 0.0000 0.0000 0.0000
Ta 0.5000 0.0000 0.5000
Ta 0.0000 0.5000 0.5000
Ta 0.5000 0.0000 0.0000
Ta 0.0000 0.0000 0.5000
Ta 0.0000 0.5000 0.0000
O 0.5901 0.1652 0.4672
O 0.5901 0.9249 0.1230
O 0.0328 0.3348 0.9099
O 0.1230 0.5901 0.9249
O 0.8019 0.4249 0.8348
O 0.4249 0.8348 0.8019
O 0.4672 0.3770 0.3019
O 0.8770 0.9672 0.8019
O 0.5751 0.9099 0.3770
O 0.5328 0.6230 0.6981
O 0.6652 0.0901 0.9672
O 0.6230 0.6981 0.5328
O 0.6981 0.5328 0.6230
O 0.3348 0.9099 0.0328
O 0.0901 0.6230 0.4249
O 0.1981 0.1230 0.0328
O 0.6230 0.4249 0.0901
O 0.5751 0.1652 0.1981
O 0.9099 0.0328 0.3348
O 0.9249 0.1230 0.5901
O 0.1652 0.1981 0.5751
O 0.8348 0.8019 0.4249
O 0.4099 0.0751 0.8770
O 0.4672 0.5901 0.1652
O 0.9099 0.3770 0.5751
O 0.5328 0.4099 0.8348
O 0.1230 0.0328 0.1981
O 0.6981 0.6652 0.0751
O 0.9249 0.3019 0.3348
O 0.8348 0.5328 0.4099
O 0.9672 0.6652 0.0901
O 0.0751 0.6981 0.6652
O 0.3348 0.9249 0.3019
O 0.8770 0.4099 0.0751
O 0.6652 0.0751 0.6981
O 0.0751 0.8770 0.4099
O 0.8019 0.8770 0.9672
O 0.4249 0.0901 0.6230
O 0.3770 0.3019 0.4672
O 0.3770 0.5751 0.9099
O 0.1981 0.5751 0.1652
O 0.1652 0.4672 0.5901
O 0.4099 0.8348 0.5328
O 0.0328 0.1981 0.1230
O 0.3019 0.4672 0.3770
O 0.3019 0.3348 0.9249
O 0.0901 0.9672 0.6652
O 0.9672 0.8019 0.8770
CELL_PARAMETERS angstrom
-1.3094 9.4673 6.1247
-10.1914 -4.3290 -2.5000
5.9675 -7.5810 5.9811
```

## Properties
**Corrected total energy (MP2020 scheme)**: -7.84 eV per atom
**Symmetry**: Ia-3d, No. 230
**Formation energy**: -2.9518 eV/atom

---

# 5
VASP calculation (PBE-GGA) on a geometry-optimized LiLaTa2O7 structure. Values from VASP.

Geometry as Quantum ESPRESSO input:
```
&SYSTEM
  ibrav = 0, nat = 11, ntyp = 4
/
ATOMIC_SPECIES
Li 6.94 Li.upf
La 138.91 La.upf
Ta 180.95 Ta.upf
O 16.00 O.upf
ATOMIC_POSITIONS crystal
Li 0.7500 0.2500 0.5000
La 0.0000 0.0000 0.0000
Ta 0.3885 0.3885 0.2230
Ta 0.6115 0.6115 0.7770
O 0.5900 0.0900 0.8199
O 0.0890 0.5890 0.8220
O 0.4110 0.9110 0.1780
O 0.9100 0.4100 0.1801
O 0.3013 0.3013 0.3974
O 0.6987 0.6987 0.6026
O 0.5000 0.5000 0.0000
CELL_PARAMETERS angstrom
-0.9512 2.0459 -3.1680
-3.1708 -2.2026 -0.4704
-7.5037 6.5006 4.0637
```

## Properties
**Corrected total energy (MP2020 scheme)**: -9.30 eV per atom
**Symmetry**: I-4m2, No. 119
**Formation energy**: -3.3773 eV/atom

---

# 6
VASP calculation (PBE-GGA) on a geometry-optimized Li2LaTa2O7 structure. Values from VASP.

Geometry as Quantum ESPRESSO input:
```
&SYSTEM
  ibrav = 0, nat = 12, ntyp = 4
/
ATOMIC_SPECIES
Li 6.94 Li.upf
La 138.91 La.upf
Ta 180.95 Ta.upf
O 16.00 O.upf
ATOMIC_POSITIONS crystal
Li 0.7500 0.2500 0.5000
Li 0.2500 0.7500 0.5000
La 0.0000 0.0000 0.0000
Ta 0.6129 0.6129 0.2259
Ta 0.3871 0.3871 0.7741
O 0.7153 0.7153 0.4306
O 0.5000 0.5000 0.0000
O 0.0971 0.5971 0.1942
O 0.5971 0.0971 0.1942
O 0.4029 0.9029 0.8058
O 0.9029 0.4029 0.8058
O 0.2847 0.2847 0.5694
CELL_PARAMETERS angstrom
4.0010 0.0000 0.0000
0.0000 4.0010 0.0000
-2.0005 -2.0005 9.2852
```

## Properties
**Corrected total energy (MP2020 scheme)**: -8.81 eV per atom
**Symmetry**: I4/mmm, No. 139
**Formation energy**: -3.2155 eV/atom

---

# 7
VASP calculation (PBE-GGA) on a geometry-optimized LiLaTi2O6 structure. Values from VASP.

Geometry as Quantum ESPRESSO input:
```
&SYSTEM
  ibrav = 0, nat = 20, ntyp = 4
/
ATOMIC_SPECIES
Li 6.94 Li.upf
La 138.91 La.upf
Ti 47.87 Ti.upf
O 16.00 O.upf
ATOMIC_POSITIONS crystal
Li 0.5000 0.0000 0.5000
Li 0.5000 0.0000 0.0000
La 0.0091 0.5000 0.7500
La 0.9909 0.5000 0.2500
Ti 0.5000 0.5000 0.5000
Ti 0.0000 0.0000 0.5000
Ti 0.0000 0.0000 0.0000
Ti 0.5000 0.5000 0.0000
O 0.7686 0.2690 0.9822
O 0.7495 0.7500 0.9803
O 0.7495 0.2500 0.5197
O 0.4554 0.5000 0.7500
O 0.7686 0.7310 0.5178
O 0.2314 0.2690 0.4822
O 0.0378 0.0000 0.7500
O 0.5446 0.5000 0.2500
O 0.9622 0.0000 0.2500
O 0.2505 0.7500 0.4803
O 0.2505 0.2500 0.0197
O 0.2314 0.7310 0.0178
CELL_PARAMETERS angstrom
-3.2593 -2.6196 -3.6636
4.4944 -2.0653 -2.5215
-0.2418 -6.2121 4.6570
```

## Properties
**Excess energy over the best structure of this formula in the dataset**: 0 meV per atom
**Corrected total energy (MP2020 scheme)**: -8.67 eV per atom
**Symmetry**: P2/c, No. 13
**Formation energy**: -3.4397 eV/atom

---

# 8
VASP calculation (PBE-GGA) on a geometry-optimized LiLa4Ti3O12 structure. Values from VASP.

Geometry as Quantum ESPRESSO input:
```
&SYSTEM
  ibrav = 0, nat = 20, ntyp = 4
/
ATOMIC_SPECIES
Li 6.94 Li.upf
La 138.91 La.upf
Ti 47.87 Ti.upf
O 16.00 O.upf
ATOMIC_POSITIONS crystal
Li 0.5000 0.0000 0.5000
La 0.0044 0.0328 0.2614
La 0.4897 0.5466 0.2625
La 0.5103 0.4534 0.7375
La 0.9956 0.9672 0.7386
Ti 0.0000 0.5000 0.0000
Ti 0.0000 0.5000 0.5000
Ti 0.5000 0.0000 0.0000
O 0.0779 0.5145 0.7513
O 0.2145 0.7824 0.0433
O 0.1996 0.7818 0.4594
O 0.2837 0.2872 0.0438
O 0.2794 0.3015 0.4591
O 0.4183 0.0196 0.7626
O 0.5817 0.9804 0.2374
O 0.7206 0.6985 0.5409
O 0.7163 0.7128 0.9562
O 0.8004 0.2182 0.5406
O 0.7855 0.2176 0.9567
O 0.9221 0.4855 0.2487
CELL_PARAMETERS angstrom
5.5864 0.0000 0.0000
-0.0270 5.6291 0.0000
-0.0053 -0.0246 7.9129
```

## Properties
**Corrected total energy (MP2020 scheme)**: -8.88 eV per atom
**Symmetry**: P-1, No. 2
**Formation energy**: -3.6488 eV/atom

---

> Which of these has the lowest corrected total energy (MP2020 scheme)?

LiLaTa2O7

---

Repeat the fifth record exactly.
VASP calculation (PBE-GGA) on a geometry-optimized LiLaTa2O7 structure. Values from VASP.

Geometry as Quantum ESPRESSO input:
```
&SYSTEM
  ibrav = 0, nat = 11, ntyp = 4
/
ATOMIC_SPECIES
Li 6.94 Li.upf
La 138.91 La.upf
Ta 180.95 Ta.upf
O 16.00 O.upf
ATOMIC_POSITIONS crystal
Li 0.7500 0.2500 0.5000
La 0.0000 0.0000 0.0000
Ta 0.3885 0.3885 0.2230
Ta 0.6115 0.6115 0.7770
O 0.5900 0.0900 0.8199
O 0.0890 0.5890 0.8220
O 0.4110 0.9110 0.1780
O 0.9100 0.4100 0.1801
O 0.3013 0.3013 0.3974
O 0.6987 0.6987 0.6026
O 0.5000 0.5000 0.0000
CELL_PARAMETERS angstrom
-0.9512 2.0459 -3.1680
-3.1708 -2.2026 -0.4704
-7.5037 6.5006 4.0637
```

## Properties
**Corrected total energy (MP2020 scheme)**: -9.30 eV per atom
**Symmetry**: I-4m2, No. 119
**Formation energy**: -3.3773 eV/atom